No. 1
The following is a DFT calculation (PBE) of a geometry-optimized CsMg6Ga structure. Values from VASP.

Values from the calculation:
* space-group type: Amm2 (38)
* calculated formation energy: 235 meV/atom
* excess energy over the best structure of this formula in the dataset: 0.73 eV per formula unit
* final energy: -1.46 eV/atom

Structure (Quantum ESPRESSO input):
```
&SYSTEM
  ibrav = 0, nat = 8, ntyp = 3
/
ATOMIC_SPECIES
Cs 132.91 Cs.upf
Mg 24.30 Mg.upf
Ga 69.72 Ga.upf
ATOMIC_POSITIONS crystal
Cs 0.000 0.000 0.000
Mg 0.000 0.434 0.434
Mg 0.000 0.530 0.931
Mg 0.000 0.931 0.530
Mg 0.500 0.277 0.277
Mg 0.500 0.368 0.726
Mg 0.500 0.726 0.368
Ga 0.500 0.763 0.763
CELL_PARAMETERS angstrom
4.800 0.000 0.000
0.000 4.037 5.999
0.000 -4.037 5.999
```


No. 2
The following is a DFT calculation (PBE) of a geometry-optimized CsMg14GaO16 structure. Values from VASP.

Values from the calculation:
* space-group type: Pmmm (47)
* calculated formation energy: -2655 meV/atom
* excess energy over the best structure of this formula in the dataset: 0.00 eV per formula unit
* final energy: -5.61 eV/atom

Structure (Quantum ESPRESSO input):
```
&SYSTEM
  ibrav = 0, nat = 32, ntyp = 4
/
ATOMIC_SPECIES
Cs 132.91 Cs.upf
Mg 24.30 Mg.upf
Ga 69.72 Ga.upf
O 16.00 O.upf
ATOMIC_POSITIONS crystal
Cs 0.000 0.000 0.000
Mg 0.000 0.000 0.500
Mg 0.000 0.251 0.262
Mg 0.000 0.251 0.738
Mg 0.000 0.500 0.500
Mg 0.000 0.749 0.262
Mg 0.000 0.749 0.738
Mg 0.500 0.000 0.261
Mg 0.500 0.000 0.739
Mg 0.500 0.251 0.500
Mg 0.500 0.255 0.000
Mg 0.500 0.500 0.254
Mg 0.500 0.500 0.746
Mg 0.500 0.745 0.000
Mg 0.500 0.749 0.500
Ga 0.000 0.500 0.000
O 0.000 0.000 0.287
O 0.000 0.000 0.713
O 0.000 0.260 0.500
O 0.000 0.292 0.000
O 0.000 0.500 0.254
O 0.000 0.500 0.746
O 0.000 0.708 0.000
O 0.000 0.740 0.500
O 0.500 0.000 0.000
O 0.500 0.000 0.500
O 0.500 0.251 0.249
O 0.500 0.251 0.751
O 0.500 0.500 0.000
O 0.500 0.500 0.500
O 0.500 0.749 0.249
O 0.500 0.749 0.751
CELL_PARAMETERS angstrom
4.553 0.000 0.000
0.000 8.622 0.000
0.000 0.000 8.840
```


No. 3
The following is a DFT calculation (PBE) of a geometry-optimized CsMg14GaO16 structure. Values from VASP.

Values from the calculation:
* space-group type: P4/mmm (123)
* calculated formation energy: -2629 meV/atom
* excess energy over the best structure of this formula in the dataset: 0.82 eV per formula unit
* final energy: -5.58 eV/atom

Structure (Quantum ESPRESSO input):
```
&SYSTEM
  ibrav = 0, nat = 32, ntyp = 4
/
ATOMIC_SPECIES
Cs 132.91 Cs.upf
Mg 24.30 Mg.upf
Ga 69.72 Ga.upf
O 16.00 O.upf
ATOMIC_POSITIONS crystal
Cs 0.000 0.000 0.000
Mg 0.000 0.263 0.500
Mg 0.000 0.500 0.000
Mg 0.000 0.737 0.500
Mg 0.250 0.500 0.500
Mg 0.253 0.253 0.000
Mg 0.253 0.747 0.000
Mg 0.263 0.000 0.500
Mg 0.500 0.000 0.000
Mg 0.500 0.250 0.500
Mg 0.500 0.750 0.500
Mg 0.737 0.000 0.500
Mg 0.747 0.253 0.000
Mg 0.747 0.747 0.000
Mg 0.750 0.500 0.500
Ga 0.500 0.500 0.000
O 0.000 0.000 0.500
O 0.000 0.287 0.000
O 0.000 0.500 0.500
O 0.000 0.713 0.000
O 0.251 0.251 0.500
O 0.251 0.749 0.500
O 0.265 0.500 0.000
O 0.287 0.000 0.000
O 0.500 0.000 0.500
O 0.500 0.265 0.000
O 0.500 0.500 0.500
O 0.500 0.735 0.000
O 0.713 0.000 0.000
O 0.735 0.500 0.000
O 0.749 0.251 0.500
O 0.749 0.749 0.500
CELL_PARAMETERS angstrom
8.819 0.000 0.000
0.000 8.819 0.000
0.000 0.000 4.453
```


No. 4
The following is a DFT calculation (PBE) of a geometry-optimized Cs2NaGaP2 structure. Values from VASP.

Values from the calculation:
* space-group type: Ibam (72)
* calculated formation energy: -433 meV/atom
* final energy: -3.26 eV/atom

Structure (Quantum ESPRESSO input):
```
&SYSTEM
  ibrav = 0, nat = 12, ntyp = 4
/
ATOMIC_SPECIES
Cs 132.91 Cs.upf
Na 22.99 Na.upf
Ga 69.72 Ga.upf
P 30.97 P.upf
ATOMIC_POSITIONS crystal
Cs 0.172 0.239 0.411
Cs 0.328 0.739 0.067
Cs 0.672 0.261 0.933
Cs 0.828 0.761 0.589
Na 0.250 0.250 0.000
Na 0.750 0.750 0.000
Ga 0.250 0.750 0.500
Ga 0.750 0.250 0.500
P 0.080 0.697 0.777
P 0.420 0.197 0.617
P 0.580 0.803 0.383
P 0.920 0.303 0.223
CELL_PARAMETERS angstrom
-3.424 8.142 3.270
3.424 -8.142 3.270
3.424 8.142 -3.270
```


No. 5
The following is a DFT calculation (PBE) of a geometry-optimized CsGaO2 structure. Values from VASP.

Values from the calculation:
* space-group type: Fd-3m (227)
* calculated formation energy: -2070 meV/atom
* final energy: -5.18 eV/atom

Structure (Quantum ESPRESSO input):
```
&SYSTEM
  ibrav = 0, nat = 8, ntyp = 3
/
ATOMIC_SPECIES
Cs 132.91 Cs.upf
Ga 69.72 Ga.upf
O 16.00 O.upf
ATOMIC_POSITIONS crystal
Cs 0.125 0.125 0.125
Cs 0.875 0.875 0.875
Ga 0.375 0.375 0.375
Ga 0.625 0.625 0.625
O 0.000 0.500 0.500
O 0.500 0.000 0.500
O 0.500 0.500 0.000
O 0.500 0.500 0.500
CELL_PARAMETERS angstrom
0.000 4.254 4.254
4.254 0.000 4.254
4.254 4.254 0.000
```


No. 6
The following is a DFT calculation (PBE) of a geometry-optimized Cs3GaO3 structure. Values from VASP.

Values from the calculation:
* space-group type: C2/m (12)
* calculated formation energy: -1791 meV/atom
* excess energy over the best structure of this formula in the dataset: 0.00 eV per formula unit
* final energy: -4.43 eV/atom

Structure (Quantum ESPRESSO input):
```
&SYSTEM
  ibrav = 0, nat = 14, ntyp = 3
/
ATOMIC_SPECIES
Cs 132.91 Cs.upf
Ga 69.72 Ga.upf
O 16.00 O.upf
ATOMIC_POSITIONS crystal
Cs 0.203 0.797 0.000
Cs 0.253 0.747 0.500
Cs 0.374 0.374 0.164
Cs 0.626 0.626 0.836
Cs 0.747 0.253 0.500
Cs 0.797 0.203 0.000
Ga 0.159 0.159 0.648
Ga 0.841 0.841 0.352
O 0.094 0.094 0.370
O 0.152 0.400 0.762
O 0.400 0.152 0.762
O 0.600 0.848 0.238
O 0.848 0.600 0.238
O 0.906 0.906 0.630
CELL_PARAMETERS angstrom
3.932 -6.217 0.000
3.932 6.217 0.000
-2.037 0.000 7.069
```